BaCa3: relaxed, GGA-PBE.

Computed properties:
Formation energy = 0.04 eV per atom
Magnetic moment = 0.00 μB/atom

Unit cell a=5.882 b=5.882 c=10.975 alpha=90.00 beta=90.00 gamma=90.00
Space group I4/mmm (No. 139)
One atom of each set of equivalent atoms:
1 Ba 0.000 0.000 0.000 [2 per cell]
2 Ca 0.000 0.000 0.500 [2 per cell]
3 Ca 0.000 0.500 0.250 [4 per cell]